Arrangement 1

CoAsS GGA-PBE optimized geometry; symmetry = No. 29
1.0
4.846 0.000 0.000
0.000 6.360 0.000
0.000 0.000 7.152
Co As S
4 4 4
Cartesian
0.072 0.343 0.000
2.351 0.343 3.576
2.495 6.017 0.000
4.774 6.017 3.576
0.896 1.293 2.013
1.527 1.293 5.588
3.319 5.066 2.013
3.950 5.066 5.588
0.849 4.647 0.031
1.574 4.647 3.607
3.272 1.713 0.031
3.997 1.713 3.607

Arrangement 2

CoAsS GGA-PBE optimized geometry; symmetry = No. 14
1.0
5.579 0.000 0.000
0.000 5.613 0.000
-0.250 0.000 5.613
Co As S
4 4 4
Cartesian
0.000 0.000 0.000
-0.125 2.807 2.806
2.664 0.000 2.806
2.789 2.807 0.000
0.531 0.695 3.524
0.656 2.112 0.717
4.673 3.502 4.896
4.798 4.918 2.089
1.930 3.469 3.445
2.055 4.951 0.639
3.274 0.662 4.974
3.399 2.144 2.167

Arrangement 3

CoAsS GGA-PBE optimized geometry; symmetry = No. 31
1.0
3.495 0.000 0.000
0.000 4.596 0.000
0.000 0.000 5.573
Co As S
2 2 2
Cartesian
0.000 1.087 0.000
1.747 3.509 2.787
0.000 2.117 2.088
1.747 2.478 4.875
0.000 0.222 3.499
1.747 4.374 0.712

The calculated energies rank the structures as follows, beginning with the most stable: arrangement 3, arrangement 2, arrangement 1.

Arrangement 1

Ti2ZnO4 GGA-PBE optimized geometry; symmetry = No. 160
1.0
2.978 1.719 5.100
-2.978 1.719 5.100
0.000 -3.439 5.100
Ti Zn O
4 2 8
Cartesian
0.000 0.000 0.000
-1.560 -0.901 6.978
1.560 -0.900 6.978
0.000 1.801 6.978
0.000 0.000 3.844
0.000 0.000 9.411
0.000 -1.632 8.088
-1.413 0.816 8.088
0.000 0.000 5.848
-1.438 -0.830 10.809
1.413 0.816 8.088
1.438 -0.830 10.809
0.000 1.661 10.809
0.000 0.000 13.434

Arrangement 2

Ti2ZnO4 GGA-PBE optimized geometry; symmetry = No. 227
1.0
0.000 4.272 4.272
4.272 0.000 4.272
4.272 4.272 0.000
Ti Zn O
4 2 8
Cartesian
0.000 0.000 0.000
2.136 2.136 0.000
2.136 0.000 2.136
0.000 2.136 2.136
3.204 3.204 3.204
5.340 5.340 5.340
6.484 4.196 4.196
2.060 2.060 2.060
4.348 4.348 2.060
4.348 2.060 4.348
4.196 6.484 4.196
4.196 4.196 6.484
6.484 6.484 6.484
2.060 4.348 4.348

The calculated energies rank the structures as follows, beginning with the most stable: arrangement 2, arrangement 1.

Arrangement 1

HfCrAgS4 GGA-PBE optimized geometry; symmetry = No. 31
1.0
3.595 0.000 0.000
0.000 11.345 0.000
0.000 0.000 13.195
Hf Cr Ag S
4 4 4 16
Cartesian
0.000 2.023 0.000
0.000 2.306 6.942
1.798 9.039 0.345
1.798 9.322 6.597
0.000 7.464 4.186
0.000 7.805 10.577
1.798 3.540 3.980
1.798 3.881 10.784
0.000 5.741 7.946
0.000 11.312 9.836
1.798 0.033 3.239
1.798 5.603 1.349
0.000 1.920 4.427
0.000 3.351 9.258
0.000 4.326 12.318
0.000 5.104 3.458
0.000 7.380 12.925
0.000 8.765 8.264
0.000 9.825 4.866
0.000 10.808 0.861
1.798 0.536 7.459
1.798 1.519 11.464
1.798 2.579 1.667
1.798 3.964 6.328
1.798 6.241 10.056
1.798 7.018 5.721
1.798 7.994 2.660
1.798 9.424 11.024

Arrangement 2

HfCrAgS4 GGA-PBE optimized geometry; symmetry = No. 62
1.0
12.055 0.000 0.000
0.000 3.611 0.000
0.000 0.000 12.375
Hf Cr Ag S
4 4 4 16
Cartesian
1.820 0.903 2.582
4.207 2.708 8.770
7.848 0.903 3.605
10.235 2.708 9.793
1.299 0.903 7.110
4.729 2.708 0.922
7.327 0.903 11.453
10.756 2.708 5.265
1.658 2.708 11.331
4.369 0.903 5.143
7.686 2.708 7.232
10.397 0.903 1.044
0.348 0.903 4.796
0.505 2.708 1.465
2.456 0.903 9.306
2.776 2.708 6.586
3.252 0.903 0.398
3.572 2.708 3.118
5.522 0.903 7.653
5.680 2.708 10.983
6.375 0.903 1.392
6.533 2.708 4.722
8.484 0.903 9.257
8.803 2.708 11.977
9.279 0.903 5.789
9.599 2.708 3.069
11.550 0.903 10.910
11.708 2.708 7.579

The calculated energies rank the structures as follows, beginning with the most stable: arrangement 1, arrangement 2.

Arrangement 1

Mg2RuN3 GGA-PBE optimized geometry; symmetry = No. 15
1.0
1.974 -5.205 0.000
1.974 5.205 0.000
-1.405 0.000 14.850
Mg Ru N
8 4 12
Cartesian
0.377 2.850 9.692
0.991 1.143 0.337
0.288 -1.143 7.762
1.464 2.850 12.584
1.079 -2.850 2.267
2.255 1.143 7.088
1.553 -1.143 14.514
2.167 -2.850 5.158
-0.363 0.567 12.367
0.340 -0.567 4.941
2.204 0.567 9.909
2.906 -0.567 2.484
1.128 2.950 1.548
0.920 4.416 11.138
0.320 0.615 6.421
-0.383 -0.615 13.847
0.920 1.213 11.138
2.118 2.950 5.878
0.426 -2.950 8.973
1.623 -1.213 3.713
2.926 0.615 1.004
2.224 -0.615 8.429
1.623 -4.416 3.713
1.415 -2.950 13.303

Arrangement 2

Mg2RuN3 GGA-PBE optimized geometry; symmetry = No. 36
1.0
5.091 -2.931 0.000
5.091 2.931 0.000
0.000 0.000 5.210
Mg Ru N
4 2 6
Cartesian
3.420 1.925 2.605
6.763 1.925 2.605
3.420 -1.925 0.000
6.763 -1.925 0.000
5.091 1.056 0.026
5.091 -1.056 2.631
3.498 1.899 4.725
6.685 1.899 4.725
5.091 0.766 1.947
5.091 -0.766 4.553
3.498 -1.899 2.119
6.685 -1.899 2.119

The calculated energies rank the structures as follows, beginning with the most stable: arrangement 2, arrangement 1.

Arrangement 1

MgTe2MoW2Se2S2 GGA-PBE optimized geometry; symmetry = No. 8
1.0
2.910 -1.680 0.000
2.910 1.680 0.000
-0.073 0.000 35.954
Mg Te Mo W Se S
1 2 1 2 2 2
Cartesian
0.000 0.000 0.000
3.855 0.000 21.126
3.857 0.000 24.927
0.007 0.000 3.940
-0.025 0.000 23.028
3.837 0.000 31.183
-0.045 0.000 29.514
-0.042 0.000 32.859
3.892 0.000 2.411
3.885 0.000 5.440

Arrangement 2

MgTe2MoW2Se2S2 GGA-PBE optimized geometry; symmetry = No. 1
1.0
3.340 0.000 0.000
1.670 2.892 0.000
0.000 0.000 31.105
Mg Te Mo W Se S
1 2 1 2 2 2
Cartesian
0.000 0.000 0.000
4.769 2.695 7.017
4.769 2.695 10.836
4.769 2.695 16.127
1.430 0.767 8.925
1.430 0.767 23.320
1.430 0.767 14.455
1.430 0.767 17.796
4.769 2.695 21.796
4.769 2.695 24.842

The calculated energies rank the structures as follows, beginning with the most stable: arrangement 1, arrangement 2.

Arrangement 1

NaIO4 GGA-PBE optimized geometry; symmetry = No. 5
1.0
6.729 -1.940 0.000
6.729 1.940 0.000
-4.643 0.000 7.984
Na I O
2 2 8
Cartesian
-0.397 0.000 3.214
9.212 0.000 4.770
3.006 0.311 1.756
5.808 0.311 6.228
4.126 1.537 2.516
4.689 1.537 5.468
1.979 -0.034 3.225
0.136 -0.448 7.199
2.183 -0.116 6.399
6.632 -0.116 1.585
6.836 -0.034 4.760
8.679 -0.448 0.785

Arrangement 2

NaIO4 GGA-PBE optimized geometry; symmetry = No. 1
1.0
5.497 0.000 0.000
-0.047 5.524 0.000
-2.707 -2.755 6.179
Na I O
2 2 8
Cartesian
0.000 0.000 0.000
-0.031 2.809 3.077
0.007 0.031 5.656
2.761 0.064 2.575
-1.310 -1.219 4.988
-1.037 1.339 4.766
1.398 4.555 1.689
1.532 1.387 1.892
1.021 -1.323 4.798
1.335 1.238 4.940
3.951 4.268 1.886
4.098 1.078 1.694

The calculated energies rank the structures as follows, beginning with the most stable: arrangement 2, arrangement 1.

Arrangement 1

BaLaI5 GGA-PBE optimized geometry; symmetry = No. 14
1.0
8.552 0.000 0.000
0.000 27.082 0.000
-8.530 0.000 11.998
Ba La I
8 8 40
Cartesian
-1.042 0.663 3.124
-5.307 12.878 9.123
-7.158 20.094 11.989
-2.893 20.529 5.990
2.915 6.553 6.009
7.180 6.988 0.009
5.329 14.204 2.875
1.063 26.420 8.874
-6.255 3.407 11.398
-1.990 10.134 5.399
-2.212 3.101 7.310
2.054 10.440 1.311
-2.032 16.642 10.687
2.233 23.981 4.688
2.011 16.948 6.599
6.276 23.675 0.600
-7.100 6.191 10.116
-2.835 7.350 4.117
-0.548 16.722 1.404
-4.813 23.901 7.403
-5.019 2.081 8.682
-0.754 11.460 2.682
0.335 3.744 1.869
-3.930 9.797 7.868
-3.783 16.011 8.100
0.482 24.612 2.101
2.213 0.349 0.101
-2.052 13.192 6.100
-3.124 5.886 8.484
1.141 7.655 2.485
-1.814 27.080 6.777
2.451 13.543 0.778
-0.670 17.950 5.375
-4.935 22.673 11.374
-4.703 17.625 11.993
-0.438 22.998 5.994
0.459 4.084 6.004
4.724 9.457 0.005
4.957 4.409 0.624
0.691 9.132 6.623
1.835 0.002 5.221
-2.430 13.539 11.220
-1.119 19.427 9.514
3.146 21.196 3.515
2.074 13.890 5.898
-2.191 26.733 11.897
-0.461 2.470 9.897
3.804 11.071 3.898
3.952 17.285 4.130
-0.313 23.338 10.129
0.776 15.622 9.316
5.041 25.001 3.317
4.835 3.181 4.595
0.570 10.360 10.594
2.856 19.732 7.881
7.121 20.891 1.882

Arrangement 2

BaLaI5 GGA-PBE optimized geometry; symmetry = No. 14
1.0
8.806 0.000 0.000
0.000 15.852 0.000
-4.105 0.000 11.400
Ba La I
4 4 20
Cartesian
-0.746 0.391 2.957
-2.798 7.535 8.657
7.500 8.317 2.743
5.448 15.462 8.444
0.999 3.908 6.835
3.051 4.018 1.134
1.651 11.834 10.266
3.703 11.945 4.566
-1.414 1.807 6.322
0.638 6.119 0.621
1.144 1.684 0.007
-0.908 6.242 5.707
1.336 10.000 4.130
-0.716 13.778 9.830
1.607 3.063 3.819
-0.445 4.863 9.519
0.009 9.433 9.184
2.062 14.345 3.484
2.640 1.507 7.916
4.692 6.419 2.216
5.147 10.989 1.881
3.095 12.790 7.582
5.418 2.074 1.570
3.365 5.852 7.270
5.610 9.610 5.693
3.558 14.168 11.393
4.064 9.734 10.779
6.116 14.045 5.079

The calculated energies rank the structures as follows, beginning with the most stable: arrangement 2, arrangement 1.